36
Lattice="4.372 2.524 6.912 -4.372 2.524 6.912 0.000 -5.048 6.912" Properties=species:S:1:pos:R:3 comment="Fe5TeP6O24 | Materials Project | GGA+U | relaxed" energy_ev_per_atom=-6.94 total_magnetization_mub_per_fu=24.0 spacegroup="R3, No. 146" delta_e_f_ev_per_atom=-2.25 pbc="T T T"
Fe 0.000 0.000 0.000
Fe 0.000 0.000 2.932
Fe 0.000 0.000 7.251
Fe 0.000 0.000 10.282
Fe 0.000 0.000 13.353
Te 0.000 0.000 17.664
P -1.706 -2.516 8.574
P -3.043 0.336 12.017
P -1.326 2.735 8.574
P 1.231 -2.804 12.017
P 3.032 -0.219 8.574
P 1.813 2.468 12.017
O -2.481 -2.557 9.904
O -0.816 -3.766 8.402
O -3.675 -1.091 12.266
O -1.724 -0.160 6.374
O -3.565 1.018 10.765
O -0.782 -1.251 8.762
O -2.853 2.590 8.402
O 1.001 -1.413 6.374
O 0.901 -3.597 10.765
O -1.487 0.109 11.802
O -0.692 1.303 8.762
O 0.723 1.573 6.374
O -0.796 -1.524 14.294
O 0.649 -1.342 11.802
O 1.475 -0.052 8.762
O -0.974 3.427 9.904
O -0.922 1.451 14.294
O 2.782 -2.637 12.266
O 0.838 1.234 11.802
O 3.455 -0.870 9.904
O 1.718 0.073 14.294
O 3.669 1.176 8.402
O 0.893 3.728 12.266
O 2.664 2.578 10.765